LuGa2Ni3 (PBE, optimized geometry); space-group type = P-62m (189)
1.0
4.3485 -7.5318 0.0000
4.3485 7.5318 0.0000
0.0000 0.0000 4.0656
Lu Ga Ni
3 6 9
direct
0.6667 0.3333 0.5000
0.3333 0.6667 0.5000
0.0000 0.0000 0.0000
0.4854 0.4854 0.0000
0.5146 0.0000 0.0000
0.0000 0.5146 0.0000
0.7291 0.7291 0.5000
0.2709 0.0000 0.5000
0.0000 0.2709 0.5000
0.8235 0.1960 0.0000
0.8040 0.6275 0.0000
0.3725 0.1765 0.0000
0.1960 0.8235 0.0000
0.6275 0.8040 0.0000
0.1765 0.3725 0.0000
0.2956 0.2956 0.5000
0.7044 0.0000 0.5000
0.0000 0.7044 0.5000

MnNCl3 (PBE, optimized geometry); space-group type = Cmcm (63); total magnetic moment = 7.00 μB/f.u.; energy above the most stable polymorph in this dataset = 1.173 eV per formula unit
1.0
4.6834 -4.7115 0.0000
4.6834 4.7115 0.0000
0.0000 0.0000 9.4951
Mn N Cl
4 4 12
direct
0.5000 0.0000 0.5000
0.0000 0.5000 0.5000
0.5000 0.0000 0.0000
0.0000 0.5000 0.0000
0.9862 0.0138 0.2500
0.0138 0.9862 0.7500
0.4861 0.5139 0.2500
0.5139 0.4861 0.7500
0.5199 0.0172 0.2500
0.0172 0.5199 0.7500
0.4801 0.9828 0.7500
0.9828 0.4801 0.2500
0.7042 0.7042 0.5000
0.7042 0.7042 0.0000
0.2958 0.2958 0.5000
0.2958 0.2958 0.0000
0.7919 0.2081 0.5181
0.2081 0.7919 0.4819
0.7919 0.2081 0.9819
0.2081 0.7919 0.0181

Al3P3C4NO13 (PBE, optimized geometry); space-group type = P2_1/c (14); total magnetic moment = 0.86 μB/f.u.; energy above the most stable polymorph in this dataset = 0.000 eV per formula unit
1.0
17.6408 0.0000 0.0000
0.0000 8.6849 0.0000
0.0000 5.5710 8.9483
Al P C N O
12 12 16 4 52
direct
0.7022 0.2318 0.2118
0.7978 0.2318 0.7118
0.2978 0.7682 0.7882
0.2022 0.7682 0.2882
0.8272 0.6746 0.8119
0.6728 0.6746 0.3119
0.1728 0.3254 0.1881
0.3272 0.3254 0.6881
0.8880 0.0245 0.3344
0.6120 0.0245 0.8344
0.1120 0.9755 0.6656
0.3880 0.9755 0.1656
0.0732 0.9772 0.3664
0.4268 0.9772 0.8664
0.9268 0.0228 0.6336
0.5732 0.0228 0.1336
0.8362 0.2455 0.0025
0.6638 0.2455 0.5025
0.1638 0.7545 0.9975
0.3362 0.7545 0.4975
0.7110 0.6752 0.0308
0.7890 0.6752 0.5308
0.2890 0.3248 0.9692
0.2110 0.3248 0.4692
0.5175 0.5001 0.9480
0.9825 0.5001 0.4480
0.4825 0.4999 0.0520
0.0175 0.4999 0.5520
0.5497 0.5289 0.8277
0.9503 0.5289 0.3277
0.4503 0.4711 0.1723
0.0497 0.4711 0.6723
0.5191 0.9246 0.5252
0.9809 0.9246 0.0252
0.4809 0.0754 0.4748
0.0191 0.0754 0.9748
0.5521 0.7759 0.5864
0.9479 0.7759 0.0864
0.4479 0.2241 0.4136
0.0521 0.2241 0.9136
0.5671 0.6183 0.6963
0.9329 0.6183 0.1963
0.4329 0.3817 0.3037
0.0671 0.3817 0.8037
0.0941 0.1810 0.2666
0.4059 0.1810 0.7666
0.9059 0.8190 0.7334
0.5941 0.8190 0.2334
0.8937 0.1307 0.1296
0.6063 0.1307 0.6296
0.1063 0.8693 0.8704
0.3937 0.8693 0.3704
0.6923 0.4751 0.0940
0.8077 0.4751 0.5940
0.3077 0.5249 0.9060
0.1923 0.5249 0.4060
0.0894 0.9049 0.5334
0.4106 0.9049 0.0334
0.9106 0.0951 0.4666
0.5894 0.0951 0.9666
0.6428 0.7908 0.9391
0.8572 0.7908 0.4391
0.3572 0.2092 0.0609
0.1428 0.2092 0.5609
0.9892 0.9536 0.3454
0.5108 0.9536 0.8454
0.0108 0.0464 0.6546
0.4892 0.0464 0.1546
0.7294 0.7038 0.1614
0.7706 0.7038 0.6614
0.2706 0.2962 0.8386
0.2294 0.2962 0.3386
0.7546 0.2084 0.0671
0.7454 0.2084 0.5671
0.2454 0.7916 0.9329
0.2546 0.7916 0.4329
0.8406 0.1935 0.8849
0.6594 0.1935 0.3849
0.1594 0.8065 0.1151
0.3406 0.8065 0.6151
0.1185 0.8633 0.3212
0.3815 0.8633 0.8212
0.8815 0.1367 0.6788
0.6185 0.1367 0.1788
0.7942 0.1441 0.2988
0.7058 0.1441 0.7988
0.2058 0.8559 0.7012
0.2942 0.8559 0.2012
0.7816 0.7349 0.9278
0.7184 0.7349 0.4278
0.2184 0.2651 0.0722
0.2816 0.2651 0.5722
0.8577 0.4491 0.9284
0.6423 0.4491 0.4284
0.1423 0.5509 0.0716
0.3577 0.5509 0.5716

RbCdCl3 (PBE, optimized geometry); space-group type = Pnma (62)
1.0
-3.0423 -2.7276 -0.5238
3.3109 -5.0315 6.9705
-8.7350 7.8571 9.8205
Rb Cd Cl
4 4 12
direct
0.7500 0.5697 0.1742
0.2500 0.4303 0.8258
0.7500 0.0697 0.3258
0.2500 0.9303 0.6742
0.7500 0.8351 0.9441
0.2500 0.1649 0.0559
0.7500 0.3351 0.5559
0.2500 0.6649 0.4441
0.7500 0.9764 0.0976
0.7500 0.3263 0.9962
0.2500 0.1737 0.4962
0.7500 0.8263 0.5038
0.2500 0.7817 0.2935
0.7500 0.2183 0.7065
0.2500 0.2817 0.2065
0.2500 0.0236 0.9024
0.7500 0.4764 0.4024
0.2500 0.5236 0.5976
0.7500 0.7183 0.7935
0.2500 0.6737 0.0038

Lu2CuIr (PBE, optimized geometry); space-group type = Fm-3m (225)
1.0
0.4276 -3.1265 3.5655
-3.8903 -1.9191 1.9630
-1.0146 -4.5947 -0.7281
Lu Cu Ir
2 1 1
direct
0.2500 0.2500 0.2500
0.7500 0.7500 0.7500
0.5000 0.5000 0.5000
0.0000 0.0000 0.0000

Rh (PBE, optimized geometry); total magnetic moment = 0.00 μB/f.u.; energy above the most stable polymorph in this dataset = 0.793 eV per formula unit
1.0
-0.6005 -3.4701 -3.6705
2.3004 0.5831 -0.9276
1.0536 -1.7694 1.5005
Rh
2
direct
0.2500 0.5000 0.5000
0.7500 0.5000 0.5000

Sn2Sb4Pt3 (PBE, optimized geometry); space-group type = Pm (6); total magnetic moment = 0.00 μB/f.u.
1.0
1.6587 3.0560 1.8659
-6.9044 0.6829 5.0195
6.9270 -8.2428 7.3422
Sn Sb Pt
4 8 6
direct
0.5000 0.3259 0.8086
0.5000 0.9924 0.1429
0.5000 0.6606 0.4784
0.5000 0.6752 0.1907
0.5000 0.3422 0.5235
0.5000 0.0079 0.8573
0.0000 0.3142 0.0544
0.0000 0.9785 0.3861
0.0000 0.6466 0.7209
0.0000 0.6861 0.9465
0.0000 0.3534 0.2787
0.0000 0.0182 0.6122
0.5000 0.8334 0.6687
0.5000 0.4992 0.9997
0.5000 0.1676 0.3344
0.0000 0.3320 0.6647
0.0000 0.0010 0.9981
0.0000 0.6657 0.3341

NaSrZrSbO6 (PBE, optimized geometry); space-group type = F-43m (216); total magnetic moment = 0.00 μB/f.u.
1.0
0.0000 -4.0831 -4.0831
4.0831 0.0000 -4.0831
4.0831 -4.0831 0.0000
Na Sr Zr Sb O
1 1 1 1 6
direct
0.7500 0.7500 0.7500
0.2500 0.2500 0.2500
0.5000 0.5000 0.5000
0.0000 0.0000 0.0000
0.7561 0.2439 0.2439
0.2439 0.7561 0.7561
0.7561 0.2439 0.7561
0.2439 0.7561 0.2439
0.7561 0.7561 0.2439
0.2439 0.2439 0.7561

Mg2B2O5 (PBE, optimized geometry); space-group type = P2_1/c (14)
1.0
-0.8174 -2.8800 -1.0182
6.1692 0.6940 -6.9154
10.5151 -4.6569 4.7302
Mg B O
8 8 20
direct
0.7908 0.6437 0.6051
0.2908 0.3563 0.8949
0.2092 0.3563 0.3949
0.7092 0.6437 0.1051
0.7138 0.1024 0.3141
0.2138 0.8976 0.1859
0.2862 0.8976 0.6859
0.7862 0.1024 0.8141
0.8497 0.1693 0.5605
0.3497 0.8307 0.9395
0.1503 0.8307 0.4395
0.6503 0.1693 0.0605
0.2756 0.3562 0.1593
0.7756 0.6438 0.3407
0.7244 0.6438 0.8407
0.2244 0.3562 0.6593
0.7994 0.4963 0.8630
0.2994 0.5037 0.6370
0.2006 0.5037 0.1370
0.7006 0.4963 0.3630
0.2720 0.2586 0.7620
0.7720 0.7414 0.7380
0.7280 0.7414 0.2380
0.2280 0.2586 0.2620
0.7720 0.1809 0.9535
0.2720 0.8191 0.5465
0.2280 0.8191 0.0465
0.7280 0.1809 0.4535
0.2878 0.9463 0.8479
0.7878 0.0537 0.6521
0.7122 0.0537 0.1521
0.2122 0.9463 0.3479
0.4225 0.2994 0.0695
0.9225 0.7006 0.4305
0.5775 0.7006 0.9305
0.0775 0.2994 0.5695

CsZnN (PBE, optimized geometry); space-group type = Pnma (62); total magnetic moment = 0.00 μB/f.u.
1.0
12.0664 0.0000 0.0000
0.0000 3.6134 0.0000
0.0000 0.0000 6.7672
Cs Zn N
4 4 4
direct
0.6564 0.2500 0.0553
0.1564 0.2500 0.4447
0.3436 0.7500 0.9447
0.8436 0.7500 0.5553
0.5565 0.2500 0.5957
0.0565 0.2500 0.9043
0.4435 0.7500 0.4043
0.9435 0.7500 0.0957
0.9194 0.2500 0.1792
0.4194 0.2500 0.3208
0.0806 0.7500 0.8208
0.5806 0.7500 0.6792

DyErMn4 (PBE, optimized geometry); space-group type = C2/m (12); total magnetic moment = 0.75 μB/f.u.; energy above the most stable polymorph in this dataset = 0.000 eV per formula unit
1.0
-2.5629 -4.4200 -0.0052
-5.1257 0.0000 0.0000
0.0000 -0.0097 -8.3935
Dy Er Mn
2 2 8
direct
0.3333 0.3333 0.5636
0.6667 0.6667 0.4364
0.6665 0.6667 0.0630
0.3335 0.3333 0.9370
0.0000 0.0000 0.5000
0.0000 0.0000 0.0000
0.8308 0.3378 0.7530
0.3383 0.8309 0.7534
0.8308 0.8314 0.7530
0.1692 0.6622 0.2470
0.6617 0.1691 0.2466
0.1692 0.1686 0.2470

KLuBeF6 (PBE, optimized geometry); space-group type = P2_1/m (11); total magnetic moment = 0.00 μB/f.u.
1.0
-4.2907 2.6681 2.7063
3.5433 0.3116 5.3107
0.8184 5.5590 -4.1831
K Lu Be F
2 2 2 12
direct
0.7500 0.0711 0.2032
0.2500 0.9289 0.7968
0.7500 0.3905 0.8217
0.2500 0.6095 0.1783
0.7500 0.7661 0.5356
0.2500 0.2339 0.4644
0.9692 0.7650 0.4015
0.0308 0.2350 0.5985
0.4692 0.2350 0.5985
0.5308 0.7650 0.4015
0.7500 0.5582 0.5952
0.2500 0.4418 0.4048
0.9989 0.6750 0.9660
0.0011 0.3250 0.0340
0.4989 0.3250 0.0340
0.5011 0.6750 0.9660
0.7500 0.9904 0.7383
0.2500 0.0096 0.2617

Al2Ru (PBE, optimized geometry); space-group type = Fddd (70)
1.0
0.0000 4.0294 4.4202
2.3701 0.0000 4.4202
2.3701 4.0294 0.0000
Al Ru
4 2
direct
0.5791 0.9209 0.5791
0.9209 0.5791 0.9209
0.6709 0.3291 0.6709
0.3291 0.6709 0.3291
0.2500 0.2500 0.2500
0.0000 0.0000 0.0000

Ba4Cu3ReO12 (PBE, optimized geometry); space-group type = Im-3m (229); total magnetic moment = 0.17 μB/f.u.
1.0
-4.5342 3.4297 4.2102
2.5504 4.4683 -4.8557
-3.3496 -5.3297 -3.2282
Ba Cu Re O
4 3 1 12
direct
0.0000 0.5000 0.0000
0.5000 0.0000 0.0000
0.0000 0.0000 0.5000
0.5000 0.5000 0.5000
0.5000 0.0000 0.5000
0.0000 0.5000 0.5000
0.5000 0.5000 0.0000
0.0000 0.0000 0.0000
0.2500 0.7500 0.5000
0.7681 0.0000 0.7681
0.0000 0.7681 0.7681
0.0000 0.2319 0.2319
0.2319 0.2319 0.0000
0.2319 0.0000 0.2319
0.7681 0.7681 0.0000
0.7500 0.2500 0.5000
0.5000 0.2500 0.7500
0.5000 0.7500 0.2500
0.2500 0.5000 0.7500
0.7500 0.5000 0.2500

Pu5Pt3 (PBE, optimized geometry); space-group type = P6_3/mcm (193); total magnetic moment = 5.64 μB/f.u.
1.0
4.2600 -7.3785 0.0000
4.2600 7.3785 0.0000
0.0000 0.0000 6.0223
Pu Pt
10 6
direct
0.2553 0.2553 0.7500
0.7447 0.0000 0.7500
0.0000 0.2553 0.2500
0.3333 0.6667 0.0000
0.0000 0.7447 0.7500
0.6667 0.3333 0.0000
0.2553 0.0000 0.2500
0.7447 0.7447 0.2500
0.3333 0.6667 0.5000
0.6667 0.3333 0.5000
0.0000 0.3914 0.7500
0.3914 0.0000 0.7500
0.0000 0.6086 0.2500
0.6086 0.6086 0.7500
0.3914 0.3914 0.2500
0.6086 0.0000 0.2500

no.,energy (Ry per atom),mass density (g/cm3),ΔH_f (0 K) (eV per atom)
1,-0.38320,9.18,-0.561
2,-0.30881,2.78,0.039
3,-0.54184,2.15,-2.034
4,-0.21674,3.48,-1.827
5,-0.45517,13.18,-0.698
6,-0.48302,10.35,0.793
7,-0.38283,9.99,-0.459
8,-0.51152,5.12,-2.834
9,-0.53133,2.82,-3.022
10,-0.24516,4.78,0.041
11,-0.55390,9.60,0.101
12,-0.43469,4.74,-3.905
13,-0.46358,6.10,-0.719
14,-0.45837,6.81,-2.059
15,-0.86558,15.84,-0.583